Here is a relaxed SrH16O10 crystal from Materials Project. Energies are from PBE-GGA.

The structure in CIF format:
```
data_SrH16O10
_chemical_formula_sum 'Sr2 H32 O20'
_space_group_name_H-M_alt 'P 1'
_space_group_IT_number 1
_cell_length_a 6.140
_cell_length_b 6.507
_cell_length_c 11.487
_cell_angle_alpha 89.02
_cell_angle_beta 88.11
_cell_angle_gamma 89.35
loop_
_space_group_symop_operation_xyz
'x,y,z'
loop_
_atom_site_label
_atom_site_type_symbol
_atom_site_fract_x
_atom_site_fract_y
_atom_site_fract_z
_atom_site_occupancy
Sr1 Sr 0.000 0.000 0.000 1
Sr2 Sr 0.037 0.024 0.499 1
H1 H 0.051 0.526 0.866 1
H2 H 0.088 0.698 0.212 1
H3 H 0.102 0.428 0.347 1
H4 H 0.115 0.394 0.672 1
H5 H 0.126 0.718 0.370 1
H6 H 0.217 0.253 0.268 1
H7 H 0.276 0.637 0.113 1
H8 H 0.293 0.595 0.883 1
H9 H 0.318 0.873 0.717 1
H10 H 0.331 0.403 0.593 1
H11 H 0.381 0.308 0.098 1
H12 H 0.386 0.232 0.871 1
H13 H 0.418 0.073 0.140 1
H14 H 0.433 0.751 0.613 1
H15 H 0.470 0.735 0.404 1
H16 H 0.480 0.005 0.873 1
H17 H 0.486 0.970 0.368 1
H18 H 0.598 0.080 0.645 1
H19 H 0.609 0.726 0.106 1
H20 H 0.633 0.714 0.899 1
H21 H 0.641 0.276 0.393 1
H22 H 0.664 0.312 0.613 1
H23 H 0.708 0.383 0.107 1
H24 H 0.729 0.389 0.894 1
H25 H 0.729 0.820 0.212 1
H26 H 0.744 0.178 0.281 1
H27 H 0.750 0.838 0.791 1
H28 H 0.782 0.649 0.629 1
H29 H 0.786 0.590 0.428 1
H30 H 0.821 0.257 0.786 1
H31 H 0.946 0.385 0.159 1
H32 H 0.997 0.690 0.709 1
O1 O 0.131 0.704 0.127 1
O2 O 0.148 0.646 0.852 1
O3 O 0.172 0.288 0.349 1
O4 O 0.193 0.326 0.609 1
O5 O 0.303 0.178 0.129 1
O6 O 0.340 0.088 0.869 1
O7 O 0.365 0.886 0.635 1
O8 O 0.379 0.857 0.385 1
O9 O 0.511 0.510 0.063 1
O10 O 0.524 0.514 0.933 1
O11 O 0.585 0.531 0.573 1
O12 O 0.629 0.532 0.446 1
O13 O 0.669 0.859 0.137 1
O14 O 0.693 0.141 0.362 1
O15 O 0.698 0.856 0.873 1
O16 O 0.725 0.173 0.640 1
O17 O 0.832 0.290 0.139 1
O18 O 0.866 0.311 0.862 1
O19 O 0.891 0.754 0.657 1
O20 O 0.976 0.682 0.353 1
```

Calculated values
Its excess energy over the best structure of this formula in the dataset is 43 meV/atom. As for the magnetization: 0.000 μB per formula unit. Its density is 1.91 Mg/m³. The total energy is -135.28 eV per formula unit. Its energy of formation is -1.359 eV per atom.